DFT (PBE) results for a relaxed Na10Ti4Al4Si7S5O48 crystal.

a = 17.5066 Å, b = 8.7473 Å, c = 21.9476 Å
α = 89.82°, β = 90.01°, γ = 119.89°
Fractional coordinates of all 234 atoms:
Na 0.1841 0.3699 0.2446
Na 0.6842 0.3705 0.2451
Na 0.9960 0.6313 0.2523
Na 0.4963 0.6311 0.2522
Na 0.4961 0.3594 0.7550
Na 0.1838 0.9979 0.7473
Na 0.6851 0.9987 0.7466
Na 0.6538 0.3359 0.5817
Na 0.0182 0.7044 0.5802
Na 0.8302 0.9639 0.5877
Na 0.4866 0.6661 0.9150
Na 0.9878 0.6687 0.9143
Na 0.8521 0.0364 0.9110
Na 0.1621 0.2978 0.9201
Na 0.4874 0.3094 0.4143
Na 0.9854 0.3060 0.4140
Na 0.3531 0.6681 0.4108
Na 0.8525 0.6677 0.4126
Na 0.0140 0.0068 0.4984
Na 0.5086 0.9927 0.4979
Na 0.0072 0.0106 0.0014
Na 0.5076 0.0238 0.9972
Na 0.3375 0.3289 0.8323
Na 0.8396 0.3393 0.8280
Na 0.3336 0.3289 0.3301
Na 0.8329 0.3278 0.3315
Na 0.1730 0.6672 0.1615
Na 0.6729 0.6676 0.1618
Na 0.1729 0.6694 0.6673
Na 0.6711 0.6784 0.6656
Ti 0.9984 0.9823 0.6475
Ti 0.4953 0.9782 0.6481
Ti 0.9999 0.0173 0.1455
Ti 0.4994 0.0161 0.1454
Ti 0.3281 0.3136 0.9779
Ti 0.8221 0.3182 0.9789
Ti 0.3249 0.3311 0.4781
Ti 0.8262 0.3432 0.4798
Ti 0.1624 0.6433 0.3118
Ti 0.6620 0.6441 0.3123
Ti 0.1596 0.6773 0.8117
Ti 0.6636 0.6828 0.8129
Al 0.0019 0.9982 0.3527
Al 0.5034 0.9986 0.3522
Al 0.9998 0.0010 0.8514
Al 0.4979 0.0032 0.8547
Al 0.3332 0.3208 0.6889
Al 0.8334 0.3304 0.6873
Al 0.3359 0.3508 0.1859
Al 0.8357 0.3507 0.1862
Al 0.1589 0.6451 0.0179
Al 0.6557 0.6433 0.0183
Al 0.1627 0.6733 0.5168
Al 0.6617 0.6672 0.5207
Si 0.3574 0.7186 0.2509
Si 0.8572 0.7186 0.2508
Si 0.9903 0.2774 0.2520
Si 0.4904 0.2776 0.2520
Si 0.9907 0.6981 0.7530
Si 0.4909 0.7019 0.7533
Si 0.3559 0.9953 0.7519
Si 0.8580 0.0050 0.7516
Si 0.1917 0.0396 0.5864
Si 0.6868 0.0381 0.5856
Si 0.8291 0.6190 0.5856
Si 0.1909 0.3435 0.0847
Si 0.6888 0.3435 0.0865
Si 0.0213 0.3711 0.9172
Si 0.5227 0.3675 0.9167
Si 0.1639 0.9485 0.9198
Si 0.6609 0.9502 0.9211
Si 0.1612 0.3715 0.4203
Si 0.6609 0.3671 0.4197
Si 0.0234 0.6760 0.4172
Si 0.5253 0.6774 0.4184
S 0.1464 0.0025 0.2498
S 0.6464 0.0024 0.2495
S 0.1458 0.2918 0.7497
S 0.6453 0.2885 0.7501
S 0.4771 0.3343 0.5839
S 0.9808 0.3366 0.5829
S 0.3299 0.6180 0.5837
S 0.4795 0.6241 0.0834
S 0.9794 0.6233 0.0831
S 0.3302 0.0428 0.0849
S 0.8302 0.0431 0.0841
S 0.3106 0.6723 0.9178
S 0.8091 0.6655 0.9181
S 0.3090 0.9532 0.4176
S 0.8097 0.9543 0.4173
O 0.1066 0.0376 0.3046
O 0.6067 0.0378 0.3045
O 0.4197 0.8013 0.3107
O 0.9199 0.8010 0.3104
O 0.4829 0.1658 0.3125
O 0.9834 0.1665 0.3126
O 0.1077 0.1804 0.8057
O 0.6041 0.1734 0.8036
O 0.4832 0.7998 0.8127
O 0.9857 0.8013 0.8125
O 0.4245 0.0431 0.8068
O 0.9163 0.0301 0.8118
O 0.4058 0.9745 0.6902
O 0.9048 0.9776 0.6898
O 0.0902 0.2082 0.6956
O 0.5904 0.2131 0.6936
O 0.0175 0.8308 0.6918
O 0.5184 0.8362 0.6931
O 0.4080 0.8402 0.1912
O 0.9083 0.8408 0.1911
O 0.0198 0.2008 0.1933
O 0.5195 0.2000 0.1933
O 0.0894 0.9673 0.1954
O 0.5893 0.9674 0.1954
O 0.4355 0.3596 0.6388
O 0.9385 0.3670 0.6362
O 0.2505 0.1402 0.6450
O 0.7496 0.1288 0.6445
O 0.3201 0.5094 0.6373
O 0.8139 0.4856 0.6404
O 0.4381 0.5137 0.1394
O 0.9377 0.5137 0.1390
O 0.3207 0.1316 0.1387
O 0.8214 0.1342 0.1378
O 0.2487 0.3580 0.1449
O 0.7481 0.3586 0.1456
O 0.2385 0.3105 0.0241
O 0.7386 0.3097 0.0271
O 0.4259 0.5405 0.0287
O 0.9259 0.5396 0.0281
O 0.3467 0.1526 0.0285
O 0.8465 0.1508 0.0269
O 0.2410 0.1691 0.5262
O 0.7378 0.1746 0.5269
O 0.3463 0.5434 0.5265
O 0.8530 0.5427 0.5228
O 0.4249 0.3113 0.5279
O 0.9267 0.3046 0.5266
O 0.2697 0.6969 0.9730
O 0.7689 0.6967 0.9724
O 0.0870 0.4569 0.9742
O 0.5825 0.4625 0.9750
O 0.1493 0.8190 0.9765
O 0.6521 0.8236 0.9771
O 0.2679 0.8414 0.4726
O 0.7709 0.8449 0.4731
O 0.1515 0.4796 0.4762
O 0.6480 0.4644 0.4783
O 0.0803 0.7009 0.4782
O 0.5863 0.6997 0.4757
O 0.0703 0.6398 0.3573
O 0.5670 0.6358 0.3564
O 0.2557 0.8777 0.3626
O 0.7555 0.8744 0.3628
O 0.1861 0.4968 0.3575
O 0.6842 0.4966 0.3582
O 0.0689 0.5041 0.8584
O 0.5667 0.5004 0.8560
O 0.1834 0.8731 0.8560
O 0.6864 0.8758 0.8581
O 0.2552 0.6347 0.8631
O 0.7564 0.6349 0.8625
O 0.0070 0.8417 0.4094
O 0.5066 0.8402 0.4097
O 0.3975 0.9713 0.4139
O 0.8987 0.9715 0.4126
O 0.0747 0.1821 0.4100
O 0.5736 0.1787 0.4092
O 0.0094 0.1747 0.9086
O 0.5099 0.1745 0.9082
O 0.0784 0.9754 0.9103
O 0.5742 0.9655 0.9100
O 0.3999 0.8267 0.9125
O 0.8991 0.8241 0.9137
O 0.4884 0.1774 0.5882
O 0.9894 0.1772 0.5888
O 0.0931 0.0213 0.5894
O 0.5916 0.0347 0.5890
O 0.4114 0.7965 0.5873
O 0.9180 0.8180 0.5882
O 0.4876 0.8000 0.0891
O 0.9874 0.7993 0.0885
O 0.4114 0.0265 0.0883
O 0.9119 0.0271 0.0878
O 0.0927 0.1598 0.0900
O 0.5920 0.1592 0.0904
O 0.3434 0.1698 0.7438
O 0.8393 0.1690 0.7431
O 0.2339 0.3062 0.7433
O 0.7325 0.3030 0.7442
O 0.4091 0.5075 0.7390
O 0.9071 0.5081 0.7413
O 0.3435 0.5177 0.2438
O 0.8435 0.5178 0.2436
O 0.4090 0.3110 0.2389
O 0.9090 0.3110 0.2388
O 0.2341 0.1603 0.2434
O 0.7341 0.1605 0.2432
O 0.3221 0.5115 0.9234
O 0.8235 0.5108 0.9240
O 0.4266 0.3656 0.9253
O 0.9248 0.3596 0.9245
O 0.2506 0.1510 0.9226
O 0.7526 0.1452 0.9244
O 0.3230 0.1360 0.4237
O 0.8235 0.1358 0.4229
O 0.2531 0.3607 0.4236
O 0.7529 0.3582 0.4210
O 0.4263 0.4927 0.4251
O 0.9268 0.4887 0.4212
O 0.1817 0.5190 0.0763
O 0.6814 0.5196 0.0763
O 0.0679 0.6397 0.0792
O 0.5682 0.6413 0.0797
O 0.2517 0.8681 0.0779
O 0.7523 0.8683 0.0782
O 0.1783 0.8414 0.5769
O 0.6802 0.8483 0.5758
O 0.2517 0.6377 0.5769
O 0.7428 0.6407 0.5754
O 0.0691 0.4974 0.5780
O 0.5668 0.4930 0.5803
O 0.1537 0.8422 0.2565
O 0.6538 0.8425 0.2565
O 0.2580 0.6947 0.2559
O 0.7577 0.6942 0.2559
O 0.0816 0.4789 0.2556
O 0.5817 0.4790 0.2555
O 0.1560 0.4683 0.7559
O 0.6533 0.4646 0.7556
O 0.0845 0.6910 0.7545
O 0.5824 0.6848 0.7549
O 0.2579 0.8206 0.7549
O 0.7584 0.8237 0.7565

Output
The formation energy is -2.74 eV/atom. For the total energy, the calculation gives -6.882 eV/atom. As for the space-group type: P1, No. 1. The value obtained for the size of the total moment is 0.00 μB per formula unit.